VASP calculation (PBE) on a geometry-optimized U8CrS17 structure.

Calculated values
Total DFT energy (no corrections) = -0.583 Ry/atom

Structure (CIF):
```
data_U8CrS17
_cell_length_a 13.173
_cell_length_b 8.323
_cell_length_c 10.341
_cell_angle_alpha 90.00
_cell_angle_beta 101.48
_cell_angle_gamma 90.00
_space_group_name_H-M_alt 'C 1 2/m 1'
_space_group_IT_number 12
loop_
_space_group_symop_operation_xyz
'x,y,z'
'-x,-y,-z'
'-x,y,-z'
'x,-y,z'
'x+1/2,y+1/2,z'
'-x+1/2,-y+1/2,-z'
'-x+1/2,y+1/2,-z'
'x+1/2,-y+1/2,z'
loop_
_atom_site_label
_atom_site_type_symbol
_atom_site_fract_x
_atom_site_fract_y
_atom_site_fract_z
_atom_site_occupancy
U1 U 0.060 0.242 0.201 1
U2 U 0.182 0.500 0.517 1
U3 U 0.204 0.000 0.956 1
Cr1 Cr 0.000 0.000 0.500 1
S1 S 0.000 0.000 0.000 1
S2 S 0.021 0.500 0.669 1
S3 S 0.057 0.000 0.727 1
S4 S 0.127 0.306 0.965 1
S5 S 0.133 0.189 0.471 1
S6 S 0.199 0.500 0.256 1
S7 S 0.213 0.000 0.221 1
```


VASP calculation (PBE) on a geometry-optimized Sb structure.

Calculated values
Spin magnetization = 0.0 μB per cell
Polymorph energy (0 for the lowest one) = 328 meV per atom

Structure (CIF):
```
data_Sb
_cell_length_a 4.791
_cell_length_b 4.791
_cell_length_c 4.791
_cell_angle_alpha 90.00
_cell_angle_beta 90.00
_cell_angle_gamma 90.00
_space_group_name_H-M_alt 'F m -3 m'
_space_group_IT_number 225
_space_group_name_Hall '-F 4 2 3'
loop_
_atom_site_label
_atom_site_type_symbol
_atom_site_fract_x
_atom_site_fract_y
_atom_site_fract_z
_atom_site_occupancy
Sb1 Sb 0.000 0.000 0.000 1
```


VASP calculation (PBE) on a geometry-optimized TeAs2O4 structure.

Calculated values
Spin magnetization = 0.5 μB per cell
Polymorph energy (0 for the lowest one) = 885 meV per atom

Structure (CIF):
```
data_TeAs2O4
_cell_length_a 4.255
_cell_length_b 5.408
_cell_length_c 39.851
_cell_angle_alpha 89.62
_cell_angle_beta 88.47
_cell_angle_gamma 87.59
_space_group_name_H-M_alt 'P 1'
_space_group_IT_number 1
loop_
_space_group_symop_operation_xyz
'x,y,z'
loop_
_atom_site_label
_atom_site_type_symbol
_atom_site_fract_x
_atom_site_fract_y
_atom_site_fract_z
_atom_site_occupancy
Te1 Te 0.000 0.000 0.000 1
Te2 Te 0.010 0.828 0.659 1
Te3 Te 0.047 0.973 0.832 1
Te4 Te 0.527 0.022 0.916 1
Te5 Te 0.588 0.920 0.747 1
Te6 Te 0.686 0.870 0.114 1
As1 As 0.037 0.739 0.940 1
As2 As 0.051 0.466 0.246 1
As3 As 0.088 0.515 0.442 1
As4 As 0.089 0.657 0.779 1
As5 As 0.094 0.473 0.109 1
As6 As 0.518 0.703 0.022 1
As7 As 0.544 0.454 0.529 1
As8 As 0.548 0.684 0.859 1
As9 As 0.563 0.303 0.343 1
As10 As 0.631 0.564 0.700 1
As11 As 0.644 0.422 0.178 1
As12 As 0.975 0.467 0.614 1
O1 O 0.039 0.248 0.888 1
O2 O 0.041 0.498 0.884 1
O3 O 0.073 0.248 0.415 1
O4 O 0.234 0.469 0.398 1
O5 O 0.448 0.404 0.464 1
O6 O 0.495 0.626 0.332 1
O7 O 0.497 0.687 0.156 1
O8 O 0.498 0.612 0.487 1
O9 O 0.515 0.247 0.995 1
O10 O 0.538 0.474 0.812 1
O11 O 0.540 0.220 0.815 1
O12 O 0.555 0.499 0.984 1
O13 O 0.570 0.549 0.597 1
O14 O 0.575 0.349 0.624 1
O15 O 0.613 0.458 0.302 1
O16 O 0.843 0.314 0.078 1
O17 O 0.896 0.586 0.207 1
O18 O 0.926 0.602 0.535 1
O19 O 0.950 0.174 0.249 1
O20 O 0.956 0.325 0.147 1
O21 O 0.957 0.344 0.519 1
O22 O 0.964 0.399 0.723 1
O23 O 0.983 0.060 0.077 1
O24 O 0.985 0.140 0.715 1
```


VASP calculation (PBE) on a geometry-optimized Hf2FeRh structure.

Calculated values
Total DFT energy (no corrections) = -0.699 Ry/atom

Structure (CIF):
```
data_Hf2FeRh
_cell_length_a 6.447
_cell_length_b 6.447
_cell_length_c 6.447
_cell_angle_alpha 90.00
_cell_angle_beta 90.00
_cell_angle_gamma 90.00
_space_group_name_H-M_alt 'F m -3 m'
_space_group_IT_number 225
_space_group_name_Hall '-F 4 2 3'
loop_
_atom_site_label
_atom_site_type_symbol
_atom_site_fract_x
_atom_site_fract_y
_atom_site_fract_z
_atom_site_occupancy
Hf1 Hf 0.250 0.250 0.250 1
Fe1 Fe 0.000 0.000 0.000 1
Rh1 Rh 0.000 0.000 0.500 1
```


VASP calculation (PBE) on a geometry-optimized KSi2HO5 structure.

Calculated values
Spin magnetization = 0.0 μB per cell
Total DFT energy (no corrections) = -0.504 Ry/atom

Structure (CIF):
```
data_KSi2HO5
_cell_length_a 12.667
_cell_length_b 8.266
_cell_length_c 4.811
_cell_angle_alpha 90.00
_cell_angle_beta 90.00
_cell_angle_gamma 90.00
_space_group_name_H-M_alt 'P n m a'
_space_group_IT_number 62
loop_
_space_group_symop_operation_xyz
'x,y,z'
'-x,-y,-z'
'-x+1/2,-y,z+1/2'
'x+1/2,y,-z+1/2'
'x+1/2,-y+1/2,-z+1/2'
'-x+1/2,y+1/2,z+1/2'
'-x,y+1/2,-z'
'x,-y+1/2,z'
loop_
_atom_site_label
_atom_site_type_symbol
_atom_site_fract_x
_atom_site_fract_y
_atom_site_fract_z
_atom_site_occupancy
K1 K 0.038 0.250 0.037 1
Si1 Si 0.187 0.562 0.526 1
H1 H 0.000 0.000 0.500 1
O1 O 0.075 0.506 0.655 1
O2 O 0.184 0.750 0.412 1
O3 O 0.216 0.050 0.254 1
```


VASP calculation (PBE) on a geometry-optimized TiAl2 structure.

Calculated values
Total DFT energy (no corrections) = -0.408 Ry/atom

Structure (CIF):
```
data_TiAl2
_cell_length_a 3.932
_cell_length_b 12.157
_cell_length_c 4.004
_cell_angle_alpha 90.00
_cell_angle_beta 90.00
_cell_angle_gamma 90.00
_space_group_name_H-M_alt 'C m m m'
_space_group_IT_number 65
_space_group_name_Hall '-C 2 2'
loop_
_atom_site_label
_atom_site_type_symbol
_atom_site_fract_x
_atom_site_fract_y
_atom_site_fract_z
_atom_site_occupancy
Ti1 Ti 0.000 0.156 0.000 1
Al1 Al 0.000 0.000 0.500 1
Al2 Al 0.000 0.327 0.500 1
Al3 Al 0.000 0.500 0.000 1
```


VASP calculation (PBE) on a geometry-optimized MgUB2O7 structure.

Calculated values
Spin magnetization = 0.0 μB per cell
Total DFT energy (no corrections) = -0.611 Ry/atom

Structure (CIF):
```
data_MgUB2O7
_cell_length_a 7.394
_cell_length_b 9.876
_cell_length_c 8.023
_cell_angle_alpha 90.00
_cell_angle_beta 90.00
_cell_angle_gamma 90.00
_space_group_name_H-M_alt 'P b c m'
_space_group_IT_number 57
loop_
_space_group_symop_operation_xyz
'x,y,z'
'-x,-y,-z'
'-x,-y,z+1/2'
'x,y,-z+1/2'
'x,-y+1/2,-z'
'-x,y+1/2,z'
'-x,y+1/2,-z+1/2'
'x,-y+1/2,z+1/2'
loop_
_atom_site_label
_atom_site_type_symbol
_atom_site_fract_x
_atom_site_fract_y
_atom_site_fract_z
_atom_site_occupancy
Mg1 Mg 0.234 0.048 0.250 1
U1 U 0.224 0.052 0.750 1
B1 B 0.128 0.741 0.250 1
B2 B 0.468 0.712 0.750 1
O1 O 0.020 0.630 0.250 1
O2 O 0.073 0.629 0.750 1
O3 O 0.228 0.049 0.521 1
O4 O 0.315 0.703 0.250 1
O5 O 0.361 0.234 0.250 1
O6 O 0.457 0.574 0.750 1
```


VASP calculation (PBE) on a geometry-optimized TbSiPt structure.

Calculated values
Total DFT energy (no corrections) = -0.482 Ry/atom

Structure (CIF):
```
data_TbSiPt
_cell_length_a 7.060
_cell_length_b 4.312
_cell_length_c 7.470
_cell_angle_alpha 90.00
_cell_angle_beta 90.00
_cell_angle_gamma 90.00
_space_group_name_H-M_alt 'P n m a'
_space_group_IT_number 62
loop_
_space_group_symop_operation_xyz
'x,y,z'
'-x,-y,-z'
'-x+1/2,-y,z+1/2'
'x+1/2,y,-z+1/2'
'x+1/2,-y+1/2,-z+1/2'
'-x+1/2,y+1/2,z+1/2'
'-x,y+1/2,-z'
'x,-y+1/2,z'
loop_
_atom_site_label
_atom_site_type_symbol
_atom_site_fract_x
_atom_site_fract_y
_atom_site_fract_z
_atom_site_occupancy
Tb1 Tb 0.004 0.250 0.202 1
Si1 Si 0.186 0.250 0.587 1
Pt1 Pt 0.201 0.750 0.415 1
```


VASP calculation (PBE) on a geometry-optimized MgSn2 structure.

Calculated values
Spin magnetization = 0.0 μB per cell
Total DFT energy (no corrections) = -0.238 Ry/atom

Structure (CIF):
```
data_MgSn2
_cell_length_a 9.690
_cell_length_b 5.845
_cell_length_c 6.736
_cell_angle_alpha 90.00
_cell_angle_beta 125.82
_cell_angle_gamma 90.00
_space_group_name_H-M_alt 'C 1 2/c 1'
_space_group_IT_number 15
loop_
_space_group_symop_operation_xyz
'x,y,z'
'-x,-y,-z'
'-x,y,-z+1/2'
'x,-y,z+1/2'
'x+1/2,y+1/2,z'
'-x+1/2,-y+1/2,-z'
'-x+1/2,y+1/2,-z+1/2'
'x+1/2,-y+1/2,z+1/2'
loop_
_atom_site_label
_atom_site_type_symbol
_atom_site_fract_x
_atom_site_fract_y
_atom_site_fract_z
_atom_site_occupancy
Mg1 Mg 0.000 0.086 0.250 1
Sn1 Sn 0.165 0.407 0.742 1
```


VASP calculation (PBE) on a geometry-optimized AlV3 structure.

Calculated values
Spin magnetization = 0.0 μB per cell
Total DFT energy (no corrections) = -0.576 Ry/atom

Structure (CIF):
```
data_AlV3
_cell_length_a 3.087
_cell_length_b 4.288
_cell_length_c 8.471
_cell_angle_alpha 90.00
_cell_angle_beta 90.00
_cell_angle_gamma 90.00
_space_group_name_H-M_alt 'C m m m'
_space_group_IT_number 65
_space_group_name_Hall '-C 2 2'
loop_
_atom_site_label
_atom_site_type_symbol
_atom_site_fract_x
_atom_site_fract_y
_atom_site_fract_z
_atom_site_occupancy
Al1 Al 0.000 0.000 0.000 1
V1 V 0.000 0.000 0.500 1
V2 V 0.000 0.500 0.258 1
```


VASP calculation (PBE) on a geometry-optimized Hf2IrRu structure.

Calculated values
Spin magnetization = 0.0 μB per cell
Total DFT energy (no corrections) = -0.762 Ry/atom

Structure (CIF):
```
data_Hf2IrRu
_cell_length_a 6.524
_cell_length_b 6.524
_cell_length_c 6.524
_cell_angle_alpha 90.00
_cell_angle_beta 90.00
_cell_angle_gamma 90.00
_space_group_name_H-M_alt 'F m -3 m'
_space_group_IT_number 225
_space_group_name_Hall '-F 4 2 3'
loop_
_atom_site_label
_atom_site_type_symbol
_atom_site_fract_x
_atom_site_fract_y
_atom_site_fract_z
_atom_site_occupancy
Hf1 Hf 0.250 0.250 0.250 1
Ir1 Ir 0.000 0.000 0.000 1
Ru1 Ru 0.000 0.000 0.500 1
```


VASP calculation (PBE) on a geometry-optimized Fe2NiP structure.

Calculated values
Total DFT energy (no corrections) = -0.545 Ry/atom

Structure (CIF):
```
data_Fe2NiP
_cell_length_a 8.954
_cell_length_b 8.954
_cell_length_c 4.383
_cell_angle_alpha 90.00
_cell_angle_beta 90.00
_cell_angle_gamma 90.00
_space_group_name_H-M_alt 'I -4'
_space_group_IT_number 82
loop_
_space_group_symop_operation_xyz
'x,y,z'
'y,-x,-z'
'-x,-y,z'
'-y,x,-z'
'x+1/2,y+1/2,z+1/2'
'y+1/2,-x+1/2,-z+1/2'
'-x+1/2,-y+1/2,z+1/2'
'-y+1/2,x+1/2,-z+1/2'
loop_
_atom_site_label
_atom_site_type_symbol
_atom_site_fract_x
_atom_site_fract_y
_atom_site_fract_z
_atom_site_occupancy
Fe1 Fe 0.032 0.361 0.018 1
Fe2 Fe 0.079 0.893 0.230 1
Ni1 Ni 0.172 0.781 0.750 1
P1 P 0.046 0.292 0.513 1
```